Crystalline RbCr15Te24 at its relaxed geometry. Source: the Materials Project database, functional PBE-GGA.

* calculated formation energy: -0.503 eV/atom
* E (MP2020): -6.033 eV per atom

abc: 10.4193 11.8756 11.8442
angles: 60.04 89.89 112.43
Sites, in units of the cell vectors:
Te (0.9948, 0.6695, 0.6585)
Te (0.3417, 0.3738, 0.4802)
Te (0.3305, 0.3668, 0.8223)
Te (0.6583, 0.6262, 0.5198)
Te (0.6695, 0.6332, 0.1777)
Te (0.6583, 0.2930, 0.5196)
Te (0.6639, 0.2950, 0.8534)
Te (0.3361, 0.7050, 0.1466)
Te (0.0052, 0.9968, 0.3432)
Te (0.6694, 0.9681, 0.1780)
Te (0.9946, 0.3371, 0.6573)
Te (0.6576, 0.9597, 0.5199)
Te (0.3365, 0.3723, 0.1468)
Te (0.6632, 0.9605, 0.8536)
Te (0.3417, 0.7070, 0.4804)
Te (0.9948, 0.0032, 0.6568)
Te (0.0054, 0.6629, 0.3427)
Te (0.3306, 0.0319, 0.8220)
Te (0.6714, 0.3018, 0.1774)
Te (0.0052, 0.3305, 0.3415)
Te (0.6635, 0.6277, 0.8532)
Te (0.3286, 0.6982, 0.8226)
Te (0.3368, 0.0395, 0.1464)
Te (0.3424, 0.0403, 0.4801)
Cr (0.5136, 0.3456, 0.3159)
Cr (0.4868, 0.9861, 0.6833)
Cr (0.8327, 0.8138, 0.5926)
Cr (0.5000, 0.0000, 0.0000)
Cr (0.4871, 0.3206, 0.6842)
Cr (0.5129, 0.6794, 0.3158)
Cr (0.5008, 0.3338, 0.0004)
Cr (0.1663, 0.8500, 0.4102)
Cr (0.4864, 0.6544, 0.6841)
Cr (0.5132, 0.0139, 0.3167)
Cr (0.1673, 0.1862, 0.4074)
Cr (0.1669, 0.5172, 0.4081)
Cr (0.4992, 0.6662, 0.9996)
Cr (0.8337, 0.1500, 0.5898)
Cr (0.8331, 0.4828, 0.5919)
Rb (0.0000, 0.0000, 0.0000)